Run A
A plane-wave DFT calculation with PBE with a Hubbard U was carried out for a relaxed Li3NbV3O8 crystal.

The total moment is 5.00 μB per formula unit.

Cell lengths 6.0993, 6.1175, 10.5274 Å; angles 106.51, 90.16, 119.90 degrees
Closest atoms and distances in Å follow each position.
Space group P1 (No. 1)
Symmetry-distinct sites (fractional):
1 Li 0.0000 0.0000 0.0000 (multiplicity 1)  6 O 2.18-2.33
2 Li 0.0031 0.9952 0.4976 (multiplicity 1)  6 O 2.14-2.31
3 Li 0.2591 0.0041 0.7549 (multiplicity 1)  6 O 2.10-2.31
4 Li 0.5082 0.0048 0.9995 (multiplicity 1)  6 O 2.16-2.24
5 Li 0.5131 0.0006 0.4993 (multiplicity 1)  6 O 2.18-2.30
6 Li 0.7520 0.9968 0.2423 (multiplicity 1)  6 O 2.15-2.32
7 Nb 0.0121 0.4947 0.4947 (multiplicity 1)  6 O 2.00-2.05
8 Nb 0.4999 0.5050 0.0029 (multiplicity 1)  6 O 1.97-2.08
9 V 0.2544 0.4974 0.2511 (multiplicity 1)  6 O 2.14-2.17
10 V 0.2620 0.5038 0.7483 (multiplicity 1)  6 O 2.04-2.11
11 V 0.5127 0.4997 0.4981 (multiplicity 1)  6 O 2.03-2.11
12 V 0.7576 0.4978 0.2480 (multiplicity 1)  6 O 2.01-2.14
13 V 0.7632 0.4977 0.7529 (multiplicity 1)  6 O 2.05-2.14
14 V 0.9960 0.4939 0.9916 (multiplicity 1)  6 O 2.12-2.17
15 O 0.1117 0.7274 0.3786 (multiplicity 1)  1 Nb 2.01, 2 V 2.10-2.17, 1 Li 2.15
16 O 0.1287 0.7286 0.8615 (multiplicity 1)  3 V 2.04-2.13, 2 Li 2.12-2.24
17 O 0.1401 0.2683 0.3870 (multiplicity 1)  1 Nb 2.00, 2 V 2.09-2.16, 1 Li 2.14
18 O 0.1572 0.2753 0.8753 (multiplicity 1)  1 Nb 2.03, 2 V 2.08-2.15, 2 Li 2.14-2.27
19 O 0.3639 0.7232 0.6133 (multiplicity 1)  1 Nb 2.03, 2 V 2.11, 1 Li 2.18
20 O 0.3761 0.7260 0.1143 (multiplicity 1)  1 Nb 1.97, 2 V 2.17, 2 Li 2.18-2.20
21 O 0.4017 0.2751 0.1216 (multiplicity 1)  1 Nb 2.02, 2 V 2.08-2.16, 1 Li 2.16
22 O 0.4037 0.2897 0.6305 (multiplicity 1)  3 V 2.05-2.09, 1 Li 2.30
23 O 0.6189 0.7234 0.8762 (multiplicity 1)  1 Nb 2.04, 2 V 2.10-2.14, 2 Li 2.18-2.24
24 O 0.6212 0.2722 0.8769 (multiplicity 1)  2 V 2.05-2.12, 1 Nb 2.08, 2 Li 2.10-2.21
25 O 0.6294 0.7211 0.3739 (multiplicity 1)  3 V 2.03-2.15, 2 Li 2.15-2.26
26 O 0.6564 0.2718 0.3827 (multiplicity 1)  1 Nb 2.02, 2 V 2.11-2.14, 2 Li 2.18-2.22
27 O 0.8523 0.7264 0.1165 (multiplicity 1)  1 Nb 2.01, 2 V 2.12-2.17, 2 Li 2.15-2.19
28 O 0.8741 0.7105 0.6152 (multiplicity 1)  1 Nb 2.05, 2 V 2.07-2.11, 2 Li 2.25-2.28
29 O 0.8816 0.2756 0.1293 (multiplicity 1)  3 V 2.01-2.14, 2 Li 2.18
30 O 0.9035 0.2777 0.6222 (multiplicity 1)  1 Nb 2.04, 2 V 2.09-2.13, 2 Li 2.20-2.22

Run B
A plane-wave DFT calculation with PBE with a Hubbard U was carried out for a relaxed Li3NbV3O8 crystal.

The total moment is 7.00 μB per formula unit.

Cell lengths 5.9348, 5.9348, 15.0668 Å; angles 90.00, 90.00, 120.00 degrees
Closest atoms and distances in Å follow each position.
Space group R-3m (No. 166, hexagonal axes)
Symmetry-distinct sites (fractional):
1 Li 0.0000 0.5000 0.0000 (multiplicity 9)  6 O 2.18-2.20
2 Nb 0.0000 0.0000 0.5000 (multiplicity 3)  6 O 2.04
3 V 0.0000 0.5000 0.5000 (multiplicity 9)  6 O 2.05-2.08
4 O 0.0000 0.0000 0.2415 (multiplicity 6)  3 V 2.05, 3 Li 2.20
5 O 0.0058 0.5029 0.2431 (multiplicity 18)  1 Nb 2.04, 2 V 2.08, 2 Li 2.18

Which one is most stable, and which one is least stable? run A is the most stable of them, while run B is the least stable.

Run A
A plane-wave DFT calculation with PBE with a Hubbard U was carried out for a relaxed Li4NbV3O8 crystal.

The total moment is 5.55 μB per formula unit.

Cell lengths 5.7387, 5.7387, 15.3463 Å; angles 90.00, 90.00, 120.00 degrees
Closest atoms and distances in Å follow each position.
Space group R-3m (No. 166, hexagonal axes)
Symmetry-distinct sites (fractional):
1 Li 0.0000 0.0000 0.0000 (multiplicity 3)  6 O 2.08
2 Li 0.0000 0.5000 0.0000 (multiplicity 9)  6 O 2.12-2.17
3 Nb 0.0000 0.0000 0.5000 (multiplicity 3)  6 O 2.11
4 V 0.0000 0.5000 0.5000 (multiplicity 9)  6 O 2.02-2.07
5 O 0.0000 0.0000 0.2424 (multiplicity 6)  3 V 2.02, 3 Li 2.17
6 O 0.0071 0.5035 0.7512 (multiplicity 18)  2 V 2.07, 3 Li 2.08-2.12, 1 Nb 2.11

Run B
A plane-wave DFT calculation with PBE with a Hubbard U was carried out for a relaxed Li4NbV3O8 crystal.

The total moment is 7.59 μB per formula unit.

Cell lengths 5.9975, 6.0049, 6.0776 Å; angles 119.51, 90.14, 119.77 degrees
Closest atoms and distances in Å follow each position.
Space group P-1 (No. 2)
Symmetry-distinct sites (fractional):
1 Li 0.0000 0.0000 0.0000 (multiplicity 1)  6 O 2.16-2.25
2 Li 0.0000 0.5000 0.0000 (multiplicity 1)  6 O 2.13-2.15
3 Li 0.5000 0.0000 0.0000 (multiplicity 1)  6 O 2.16-2.19
4 Li 0.5000 0.5000 0.0000 (multiplicity 1)  6 O 2.17-2.24
5 Nb 0.0000 0.0000 0.5000 (multiplicity 1)  6 O 2.10-2.11
6 V 0.0000 0.5000 0.5000 (multiplicity 1)  6 O 2.04-2.12
7 V 0.5000 0.0000 0.5000 (multiplicity 1)  6 O 2.04-2.11
8 V 0.5000 0.5000 0.5000 (multiplicity 1)  6 O 2.12-2.15
9 O 0.2368 0.4891 0.7389 (multiplicity 2)  2 V 2.07-2.15, 1 Nb 2.10, 3 Li 2.13-2.19
10 O 0.2465 0.9934 0.7411 (multiplicity 2)  1 Nb 2.11, 2 V 2.11-2.12, 3 Li 2.16-2.17
11 O 0.2508 0.9982 0.2604 (multiplicity 2)  2 V 2.08-2.15, 1 Nb 2.10, 3 Li 2.14-2.19
12 O 0.2519 0.5239 0.2747 (multiplicity 2)  3 V 2.04-2.12, 3 Li 2.15-2.25

Which one is most stable, and which one is least stable? run B is the most stable of them, while run A is the least stable.

Run A
A plane-wave DFT calculation with PBE with a Hubbard U was carried out for a relaxed Rb2LiNd2W4O16 crystal.

The total moment is 1.00 μB per formula unit.

Cell lengths 10.8376, 11.3430, 7.5054 Å; angles 90.00, 130.56, 90.00 degrees
Closest atoms and distances in Å follow each position.
Space group C2 (No. 5)
Symmetry-distinct sites (fractional):
1 Rb 0.0000 0.0000 0.0000 (multiplicity 2)  10 O 2.99-3.10
2 Rb 0.0000 0.4587 0.5000 (multiplicity 2)  1 Li 2.70, 4 O 2.80-2.83
3 Li 0.0000 0.2203 0.5000 (multiplicity 2)  2 O 1.98
4 Nd 0.0000 0.4420 0.0000 (multiplicity 2)  6 O 2.39-2.44
5 Nd 0.0000 0.9697 0.5000 (multiplicity 2)  6 O 2.36-2.46
6 W 0.2002 0.7224 0.4582 (multiplicity 4)  5 O 1.88-2.01
7 W 0.2016 0.7036 0.9606 (multiplicity 4)  5 O 1.85-1.99
8 O 0.0230 0.6099 0.2233 (multiplicity 4)  2 W 2.01-2.14
9 O 0.0240 0.8151 0.7308 (multiplicity 4)  2 W 1.99-2.13
10 O 0.1221 0.1263 0.4370 (multiplicity 4)  1 W 1.88, 1 Li 1.98
11 O 0.1224 0.3013 0.9189 (multiplicity 4)  1 W 1.85
12 O 0.2018 0.6566 0.7057 (multiplicity 4)  2 W 1.99
13 O 0.2054 0.7714 0.2066 (multiplicity 4)  2 W 1.98-2.00
14 O 0.2188 0.0582 0.8839 (multiplicity 4)  1 W 1.88
15 O 0.2258 0.3698 0.3874 (multiplicity 4)  1 W 1.89

Run B
A plane-wave DFT calculation with PBE with a Hubbard U was carried out for a relaxed Rb2LiNd2W4O16 crystal.

The total moment is 1.00 μB per formula unit.

Cell lengths 7.5910, 7.6899, 8.0920 Å; angles 89.69, 62.71, 63.04 degrees
Closest atoms and distances in Å follow each position.
Space group P1 (No. 1)
Symmetry-distinct sites (fractional):
1 Rb 0.0000 0.0000 0.0000 (multiplicity 1)  10 O 2.93-3.20
2 Rb 0.4947 0.3596 0.6763 (multiplicity 1)  1 Li 2.66, 4 O 2.73-2.94
3 Li 0.5026 0.5700 0.4130 (multiplicity 1)  2 O 1.82-1.85
4 Nd 0.5104 0.9631 0.0091 (multiplicity 1)  6 O 2.36-2.47
5 Nd 0.9907 0.4558 0.5885 (multiplicity 1)  6 O 2.37-2.50
6 W 0.0479 0.8963 0.4905 (multiplicity 1)  4 O 1.84-1.98
7 W 0.4566 0.5183 0.0930 (multiplicity 1)  4 O 1.86-2.07
8 W 0.5472 0.9124 0.4814 (multiplicity 1)  4 O 1.84-2.05
9 W 0.9567 0.5031 0.1107 (multiplicity 1)  4 O 1.85-1.99
10 O 0.0475 0.4535 0.8535 (multiplicity 1)  1 W 1.85
11 O 0.1302 0.2552 0.1385 (multiplicity 1)  1 W 1.85
12 O 0.1764 0.5834 0.0663 (multiplicity 1)  2 W 1.92-2.07
13 O 0.2386 0.5780 0.3927 (multiplicity 1)  1 Li 2.06, 2 W 2.11-2.12
14 O 0.2782 0.8379 0.2169 (multiplicity 1)  2 W 1.98-2.16
15 O 0.3127 0.8407 0.5418 (multiplicity 1)  1 Li 1.85, 1 W 1.95
16 O 0.3791 0.1614 0.4546 (multiplicity 1)  1 W 1.84
17 O 0.4608 0.9743 0.7359 (multiplicity 1)  1 W 1.84
18 O 0.5551 0.2453 0.0273 (multiplicity 1)  1 W 1.86
19 O 0.6085 0.5987 0.8701 (multiplicity 1)  1 W 1.92
20 O 0.7074 0.4477 0.1578 (multiplicity 1)  1 Li 1.82, 1 W 1.99
21 O 0.7105 0.8058 0.1846 (multiplicity 1)  2 W 2.08-2.09
22 O 0.7701 0.6052 0.4215 (multiplicity 1)  2 W 2.08-2.17, 1 Li 2.20
23 O 0.8196 0.9484 0.4234 (multiplicity 1)  2 W 1.92-2.05
24 O 0.8900 0.8350 0.7182 (multiplicity 1)  1 W 1.88
25 O 0.9519 0.1635 0.5653 (multiplicity 1)  1 W 1.84

Which one is most stable, and which one is least stable? run B is the most stable of them, while run A is the least stable.